Na6Hf4Zn4Si3S9O48 | the Materials Project | PBE-GGA | optimized geometry; space group = P1; DFT formation energy = -2435 meV per atom; total moment = 0.0 μB/cell
1.0
8.8879 0.0000 0.0000
-0.0169 15.5159 0.0000
-0.0783 -0.1356 23.0351
Na Hf Zn Si S O
18 12 12 9 27 144
direct
0.0000 0.0000 0.0000
0.9995 0.6493 0.6637
0.0045 0.3115 0.8367
0.0109 0.9832 0.4933
0.1286 0.8150 0.0786
0.1354 0.1436 0.4154
0.3557 0.6426 0.9186
0.3638 0.3147 0.5781
0.4832 0.4798 0.9957
0.4904 0.4921 0.4937
0.4919 0.8104 0.3304
0.5052 0.1503 0.1568
0.5131 0.8210 0.8343
0.5148 0.1407 0.6638
0.6289 0.3118 0.0854
0.8723 0.8169 0.5855
0.9798 0.6391 0.1615
0.9816 0.3209 0.3289
0.0002 0.6493 0.3112
0.0083 0.3073 0.9737
0.4851 0.8147 0.4706
0.4990 0.1491 0.8140
0.5017 0.1462 0.3106
0.5042 0.4884 0.3452
0.5040 0.8106 0.1832
0.5040 0.8160 0.6853
0.9809 0.3110 0.1815
0.9898 0.9888 0.8476
0.9913 0.3103 0.6842
0.9928 0.6464 0.8129
0.0092 0.6414 0.5077
0.0087 0.9771 0.3473
0.4864 0.4749 0.8508
0.4956 0.1438 0.0157
0.4970 0.1381 0.5080
0.4979 0.4845 0.6494
0.5032 0.8204 0.9820
0.5139 0.4787 0.1567
0.9810 0.9805 0.6591
0.9894 0.9962 0.1429
0.9915 0.3195 0.4806
0.9970 0.6335 0.0107
0.1471 0.5012 0.9141
0.2127 0.1431 0.9164
0.2891 0.6420 0.4156
0.3442 0.0040 0.4135
0.6407 0.3343 0.2449
0.6465 0.6281 0.2434
0.8427 0.1631 0.0768
0.8454 0.1274 0.7435
0.8599 0.8333 0.7440
0.1415 0.8368 0.2441
0.1432 0.1274 0.2477
0.1431 0.1672 0.5782
0.1433 0.4612 0.5809
0.1446 0.7954 0.9156
0.2040 0.8156 0.5801
0.2057 0.4812 0.2455
0.2883 0.9820 0.7453
0.2891 0.3185 0.0815
0.3503 0.2951 0.4159
0.3515 0.6268 0.7462
0.3514 0.6673 0.0779
0.3515 0.9584 0.0808
0.3534 0.3358 0.7441
0.6410 0.9990 0.9148
0.6429 0.2970 0.9148
0.6434 0.6673 0.5796
0.6426 0.9609 0.5790
0.7018 0.3153 0.5787
0.7023 0.6498 0.9149
0.7111 0.9803 0.2475
0.7837 0.4815 0.7462
0.7917 0.1496 0.4153
0.7926 0.8126 0.0784
0.8517 0.4620 0.0787
0.8534 0.5007 0.4153
0.8536 0.7949 0.4161
0.0638 0.4081 0.9204
0.0709 0.5461 0.5782
0.0725 0.5494 0.8561
0.0753 0.0937 0.3011
0.0765 0.7475 0.2517
0.0768 0.8733 0.1909
0.0794 0.0818 0.5851
0.0803 0.7603 0.9691
0.0804 0.8815 0.9049
0.0812 0.2168 0.2390
0.0806 0.4152 0.6328
0.0820 0.2087 0.5248
0.1031 0.0579 0.9073
0.1031 0.2294 0.9176
0.1031 0.5576 0.2551
0.1046 0.2269 0.6296
0.1053 0.7384 0.5772
0.1093 0.4030 0.2411
0.1114 0.7371 0.8640
0.1129 0.8946 0.5821
0.1180 0.8878 0.2967
0.1200 0.4065 0.5284
0.1207 0.0729 0.1963
0.1350 0.5676 0.9686
0.1619 0.9948 0.4064
0.1818 0.2987 0.4187
0.1830 0.6683 0.0781
0.1839 0.6591 0.3579
0.1849 0.3264 0.7368
0.1849 0.6381 0.7524
0.1847 0.9614 0.0878
0.1894 0.3109 0.1333
0.1925 0.3270 0.0285
0.1965 0.9670 0.7977
0.1970 0.6299 0.4742
0.2032 0.9960 0.6924
0.2918 0.4977 0.1934
0.2995 0.4695 0.2986
0.3037 0.8062 0.6322
0.3044 0.8213 0.5282
0.3099 0.8259 0.2375
0.3107 0.1382 0.2547
0.3114 0.1681 0.5784
0.3123 0.1570 0.8563
0.3118 0.4670 0.5875
0.3129 0.7987 0.9178
0.3154 0.1316 0.9725
0.3304 0.4954 0.9065
0.3596 0.0650 0.4705
0.3759 0.5744 0.6937
0.3760 0.9044 0.0281
0.3782 0.3890 0.7954
0.3826 0.2368 0.3651
0.3826 0.2403 0.0786
0.3848 0.3965 0.0838
0.3866 0.9023 0.7396
0.3901 0.7265 0.1295
0.3923 0.0565 0.7542
0.3971 0.5574 0.4078
0.3987 0.7289 0.4197
0.4121 0.7084 0.0246
0.4145 0.2603 0.4702
0.4147 0.3816 0.4066
0.4150 0.5818 0.0850
0.4154 0.7165 0.7366
0.4167 0.3716 0.6899
0.4174 0.9121 0.1326
0.4175 0.2473 0.7511
0.4212 0.0433 0.0791
0.4214 0.5933 0.7989
0.4226 0.0498 0.3570
0.4271 0.9087 0.4203
0.5697 0.9124 0.9168
0.5705 0.5872 0.3022
0.5708 0.7265 0.2395
0.5718 0.0462 0.5764
0.5724 0.3662 0.1837
0.5731 0.2369 0.2567
0.5744 0.5816 0.5864
0.5794 0.0429 0.8614
0.5788 0.3830 0.9053
0.5789 0.7105 0.5281
0.5795 0.9159 0.6321
0.5801 0.2599 0.9675
0.6011 0.7271 0.9175
0.6027 0.3924 0.5861
0.6054 0.2370 0.5755
0.6054 0.3947 0.3018
0.6063 0.9042 0.2396
0.6055 0.9041 0.5284
0.6085 0.5720 0.9065
0.6104 0.7238 0.6322
0.6110 0.0583 0.2538
0.6135 0.2402 0.8621
0.6207 0.0500 0.9670
0.6224 0.5751 0.1850
0.6589 0.1636 0.0732
0.6644 0.1415 0.7537
0.6706 0.8240 0.7387
0.6849 0.8013 0.4206
0.6856 0.4654 0.0818
0.6871 0.4895 0.4077
0.6926 0.8033 0.1312
0.6940 0.1625 0.3628
0.6939 0.4673 0.7982
0.6956 0.4946 0.6927
0.6992 0.8250 0.0266
0.7015 0.1405 0.4681
0.7938 0.6410 0.9673
0.7952 0.3276 0.5270
0.7994 0.9664 0.3003
0.8000 0.6630 0.8620
0.7996 0.9922 0.1948
0.8010 0.3059 0.6316
0.8081 0.9645 0.5818
0.8078 0.9881 0.9065
0.8103 0.3035 0.9175
0.8102 0.6637 0.5760
0.8282 0.3270 0.2425
0.8278 0.6421 0.2553
0.8695 0.0757 0.6844
0.8722 0.5521 0.4685
0.8784 0.2273 0.1349
0.8809 0.7384 0.3643
0.8840 0.5591 0.7524
0.8860 0.0720 0.4077
0.8868 0.4050 0.7376
0.8868 0.7335 0.0753
0.8892 0.4080 0.0276
0.8901 0.8948 0.8002
0.8923 0.8882 0.0864
0.8930 0.2273 0.4183
0.9135 0.7569 0.4701
0.9158 0.4198 0.1324
0.9162 0.5449 0.3631
0.9174 0.2175 0.0230
0.9165 0.8811 0.4076
0.9201 0.5489 0.0766
0.9226 0.2258 0.7387
0.9234 0.8656 0.6819
0.9243 0.0707 0.0822
0.9237 0.0856 0.8016
0.9245 0.7353 0.7542
0.9258 0.4145 0.4185